Run A
Entry from the Materials Project: a relaxed CaMg6TiO8 crystal (PBE).

SG: No. 123
Crystal system: tetragonal

Cell and atoms, written as POSCAR:
```
CaMg6TiO8
1.0
4.371 0.000 0.000
0.000 4.371 0.000
0.000 0.000 8.723
Ca Mg Ti O
1 6 1 8
direct
0.000 0.000 0.000
0.000 0.000 0.500
0.000 0.500 0.258
0.000 0.500 0.742
0.500 0.000 0.258
0.500 0.000 0.742
0.500 0.500 0.500
0.500 0.500 0.000
0.000 0.000 0.265
0.000 0.000 0.735
0.000 0.500 0.000
0.000 0.500 0.500
0.500 0.000 0.000
0.500 0.000 0.500
0.500 0.500 0.256
0.500 0.500 0.744
```

***

Run B
Entry from the Materials Project: a relaxed CaMg6TiO8 crystal (PBE).

SG: No. 123
Crystal system: tetragonal

Cell and atoms, written as POSCAR:
```
CaMg6TiO8
1.0
4.380 0.000 0.000
0.000 4.380 0.000
0.000 0.000 8.781
Ca Mg Ti O
1 6 1 8
direct
0.000 0.000 0.000
0.000 0.500 0.253
0.000 0.500 0.747
0.500 0.000 0.253
0.500 0.000 0.747
0.500 0.500 0.000
0.500 0.500 0.500
0.000 0.000 0.500
0.000 0.000 0.259
0.000 0.000 0.741
0.000 0.500 0.000
0.000 0.500 0.500
0.500 0.000 0.000
0.500 0.000 0.500
0.500 0.500 0.251
0.500 0.500 0.749
```

***

run A (0.024 eV/atom below the next structure)

***

Run A
Entry from the Materials Project: a relaxed SrCaMg6 crystal (PBE).

Cell and atoms, written as POSCAR:
```
SrCaMg6
1.0
-2.053 4.565 1.891
-5.851 -3.661 2.485
5.432 -1.773 10.177
Sr Ca Mg
2 2 12
direct
0.500 0.500 0.106
0.500 0.000 0.606
0.000 0.500 0.396
0.000 0.000 0.896
0.000 0.215 0.162
0.000 0.785 0.162
0.000 0.500 0.909
0.500 0.285 0.840
0.500 0.715 0.840
0.500 0.500 0.585
0.000 0.715 0.662
0.000 0.285 0.662
0.000 0.000 0.409
0.500 0.785 0.340
0.500 0.215 0.340
0.500 0.000 0.085
```

***

Run B
Entry from the Materials Project: a relaxed SrCaMg6 crystal (PBE).

Cell and atoms, written as POSCAR:
```
SrCaMg6
1.0
-0.904 4.063 -3.478
-2.027 -4.704 -4.968
-11.217 0.786 3.833
Sr Ca Mg
2 2 12
direct
0.500 0.500 0.835
0.500 0.000 0.335
0.500 0.500 0.336
0.500 0.000 0.836
0.500 0.248 0.081
0.500 0.752 0.081
0.000 0.244 0.926
0.000 0.756 0.926
0.000 0.500 0.160
0.000 0.500 0.655
0.500 0.748 0.581
0.500 0.252 0.581
0.000 0.744 0.426
0.000 0.256 0.426
0.000 0.000 0.660
0.000 0.000 0.155
```

***

run A (0.084 eV/atom below the next structure)

***

Run A
Entry from the Materials Project: a relaxed CaMo6S8 crystal (PBE).

SG: No. 148
Crystal system: trigonal

Cell and atoms, written as POSCAR:
```
CaMo6S8
1.0
4.624 2.670 3.803
-4.624 2.670 3.803
0.000 -5.340 3.803
Ca Mo S
1 6 8
direct
0.000 0.000 0.000
0.224 0.559 0.417
0.417 0.224 0.559
0.441 0.583 0.776
0.559 0.417 0.224
0.583 0.776 0.441
0.776 0.441 0.583
0.128 0.379 0.743
0.239 0.239 0.239
0.257 0.872 0.621
0.379 0.743 0.128
0.621 0.257 0.872
0.743 0.128 0.379
0.761 0.761 0.761
0.872 0.621 0.257
```

***

Run B
Entry from the Materials Project: a relaxed CaMo6S8 crystal (PBE).

SG: No. 2
Crystal system: triclinic

Cell and atoms, written as POSCAR:
```
CaMo6S8
1.0
6.276 0.000 0.000
-2.195 5.885 0.000
-2.431 -1.558 7.747
Ca Mo S
1 6 8
direct
0.000 0.000 0.000
0.249 0.789 0.587
0.370 0.357 0.372
0.428 0.664 0.914
0.572 0.336 0.086
0.630 0.643 0.628
0.751 0.211 0.413
0.191 0.401 0.605
0.256 0.468 0.105
0.322 0.003 0.854
0.322 0.969 0.345
0.678 0.031 0.655
0.678 0.997 0.146
0.744 0.532 0.895
0.809 0.599 0.395
```

***

run A (0.511 eV/atom below the next structure)

***

Run A
Entry from the Materials Project: a relaxed Ca3N2 crystal (PBE).

SG: No. 164
Crystal system: trigonal

Cell and atoms, written as POSCAR:
```
Ca3N2
1.0
3.854 0.000 0.000
-1.927 3.338 0.000
0.000 0.000 6.933
Ca N
3 2
direct
0.000 0.000 0.000
0.333 0.667 0.666
0.667 0.333 0.334
0.333 0.667 0.229
0.667 0.333 0.771
```

***

Run B
Entry from the Materials Project: a relaxed Ca3N2 crystal (PBE).

SG: No. 206
Crystal system: cubic

Cell and atoms, written as POSCAR:
```
Ca3N2
1.0
-5.738 5.738 5.738
5.738 -5.738 5.738
5.738 5.738 -5.738
Ca N
24 16
direct
0.007 0.044 0.271
0.037 0.493 0.765
0.044 0.271 0.007
0.228 0.456 0.463
0.229 0.272 0.735
0.235 0.963 0.507
0.265 0.771 0.728
0.271 0.007 0.044
0.272 0.735 0.229
0.456 0.463 0.228
0.463 0.228 0.456
0.493 0.765 0.037
0.507 0.235 0.963
0.537 0.772 0.544
0.544 0.537 0.772
0.728 0.265 0.771
0.729 0.993 0.956
0.735 0.229 0.272
0.765 0.037 0.493
0.771 0.728 0.265
0.772 0.544 0.537
0.956 0.729 0.993
0.963 0.507 0.235
0.993 0.956 0.729
0.000 0.000 0.500
0.000 0.500 0.000
0.040 0.750 0.790
0.210 0.960 0.250
0.250 0.210 0.960
0.250 0.710 0.460
0.290 0.540 0.750
0.460 0.250 0.710
0.500 0.000 0.000
0.500 0.500 0.500
0.540 0.750 0.290
0.710 0.460 0.250
0.750 0.290 0.540
0.750 0.790 0.040
0.790 0.040 0.750
0.960 0.250 0.210
```

***

Run C
Entry from the Materials Project: a relaxed Ca3N2 crystal (PBE).

SG: No. 60
Crystal system: orthorhombic

Cell and atoms, written as POSCAR:
```
Ca3N2
1.0
8.974 0.000 0.000
0.000 6.214 0.000
0.000 0.000 6.362
Ca N
12 8
direct
0.000 0.045 0.250
0.000 0.955 0.750
0.153 0.394 0.605
0.153 0.606 0.105
0.347 0.106 0.105
0.347 0.894 0.605
0.500 0.455 0.750
0.500 0.545 0.250
0.653 0.106 0.395
0.653 0.894 0.895
0.847 0.394 0.895
0.847 0.606 0.395
0.112 0.247 0.969
0.112 0.753 0.469
0.388 0.253 0.469
0.388 0.747 0.969
0.612 0.253 0.031
0.612 0.747 0.531
0.888 0.247 0.531
0.888 0.753 0.031
```

***

run B (0.032 eV/atom below the next structure)

***

Run A
Entry from the Materials Project: a relaxed Ca3N2 crystal (PBE).

SG: No. 194
Crystal system: hexagonal

Cell and atoms, written as POSCAR:
```
Ca3N2
1.0
3.898 0.000 0.000
-1.949 3.376 0.000
0.000 0.000 13.245
Ca N
6 4
direct
0.000 0.000 0.250
0.000 0.000 0.750
0.333 0.667 0.086
0.333 0.667 0.414
0.667 0.333 0.586
0.667 0.333 0.914
0.000 0.000 0.000
0.000 0.000 0.500
0.333 0.667 0.750
0.667 0.333 0.250
```

***

Run B
Entry from the Materials Project: a relaxed Ca3N2 crystal (PBE).

SG: No. 12
Crystal system: monoclinic

Cell and atoms, written as POSCAR:
```
Ca3N2
1.0
7.536 -1.895 0.000
7.536 1.895 0.000
-1.711 0.000 9.205
Ca N
9 6
direct
0.000 0.000 0.000
0.032 0.032 0.661
0.290 0.290 0.379
0.328 0.328 0.035
0.374 0.374 0.722
0.626 0.626 0.278
0.672 0.672 0.965
0.710 0.710 0.621
0.968 0.968 0.339
0.141 0.141 0.488
0.183 0.183 0.130
0.469 0.469 0.188
0.531 0.531 0.812
0.817 0.817 0.870
0.859 0.859 0.512
```

***

run B (0.147 eV/atom below the next structure)

***

Run A
Entry from the Materials Project: a relaxed Sr2CaTi6N2O11 crystal (PBE).

SG: No. 1
Crystal system: triclinic

Cell and atoms, written as POSCAR:
```
Sr2CaTi6N2O11
1.0
3.887 0.000 0.000
1.932 7.291 0.000
0.007 2.061 9.691
Sr Ca Ti N O
2 1 6 2 11
direct
0.000 0.000 0.000
0.089 0.832 0.345
0.993 0.023 0.651
0.306 0.396 0.765
0.340 0.328 0.106
0.406 0.199 0.397
0.667 0.676 0.605
0.685 0.640 0.957
0.768 0.476 0.297
0.277 0.457 0.260
0.700 0.611 0.437
0.166 0.679 0.643
0.216 0.580 0.953
0.378 0.253 0.639
0.398 0.208 0.930
0.465 0.079 0.236
0.535 0.939 0.525
0.582 0.859 0.831
0.639 0.737 0.115
0.773 0.463 0.778
0.830 0.348 0.090
0.901 0.207 0.419
```

***

Run B
Entry from the Materials Project: a relaxed Sr2CaTi6N2O11 crystal (PBE).

SG: No. 1
Crystal system: triclinic

Cell and atoms, written as POSCAR:
```
Sr2CaTi6N2O11
1.0
3.885 0.000 0.000
-1.645 7.282 0.000
-0.250 -2.478 9.785
Sr Ca Ti N O
2 1 6 2 11
direct
0.000 0.000 0.000
0.123 0.093 0.340
0.007 0.101 0.680
0.289 0.598 0.076
0.350 0.723 0.414
0.390 0.781 0.767
0.655 0.344 0.898
0.716 0.409 0.239
0.770 0.514 0.576
0.369 0.734 0.937
0.754 0.522 0.082
0.150 0.319 0.924
0.226 0.437 0.266
0.299 0.581 0.585
0.373 0.804 0.247
0.419 0.959 0.529
0.523 0.060 0.831
0.589 0.155 0.156
0.691 0.380 0.722
0.701 0.300 0.438
0.822 0.661 0.408
0.894 0.794 0.726
```

***

run B (0.017 eV/atom below the next structure)

***

Run A
Entry from the Materials Project: a relaxed Ca2Ti6N2O11 crystal (PBE).

SG: No. 8
Crystal system: monoclinic

Cell and atoms, written as POSCAR:
```
Ca2Ti6N2O11
1.0
7.405 -1.902 0.000
7.405 1.902 0.000
-1.590 0.000 9.263
Ca Ti N O
2 6 2 11
direct
0.000 0.000 0.000
0.101 0.101 0.541
0.316 0.316 0.970
0.402 0.402 0.307
0.438 0.438 0.664
0.682 0.682 0.839
0.725 0.725 0.163
0.786 0.786 0.495
0.206 0.206 0.834
0.800 0.800 0.996
0.258 0.258 0.170
0.320 0.320 0.497
0.412 0.412 0.851
0.444 0.444 0.137
0.501 0.501 0.449
0.559 0.559 0.726
0.619 0.619 0.024
0.685 0.685 0.346
0.715 0.715 0.631
0.863 0.863 0.315
0.919 0.919 0.629
```

***

Run B
Entry from the Materials Project: a relaxed Ca2Ti6N2O11 crystal (PBE).

SG: No. 1
Crystal system: triclinic

Cell and atoms, written as POSCAR:
```
Ca2Ti6N2O11
1.0
3.756 0.000 0.000
-1.842 7.496 0.000
-0.024 -1.874 9.414
Ca Ti N O
2 6 2 11
direct
0.000 0.000 0.000
0.065 0.168 0.532
0.295 0.617 0.044
0.355 0.738 0.371
0.410 0.845 0.694
0.646 0.317 0.866
0.681 0.385 0.236
0.759 0.541 0.548
0.457 0.941 0.529
0.814 0.655 0.388
0.160 0.345 0.913
0.219 0.461 0.226
0.274 0.570 0.573
0.364 0.757 0.917
0.387 0.816 0.200
0.516 0.064 0.830
0.581 0.175 0.110
0.643 0.304 0.411
0.663 0.350 0.687
0.756 0.539 0.042
0.877 0.779 0.700
```

***

run A (0.014 eV/atom below the next structure)

***

Run A
Entry from the Materials Project: a relaxed Ca2PbN2 crystal (PBE).

SG: No. 59
Crystal system: orthorhombic

Cell and atoms, written as POSCAR:
```
Ca2PbN2
1.0
3.597 0.000 0.000
0.000 13.907 0.000
0.000 0.000 3.607
Ca Pb N
4 2 4
direct
0.250 0.081 0.248
0.250 0.419 0.248
0.750 0.581 0.752
0.750 0.919 0.752
0.250 0.750 0.348
0.750 0.250 0.652
0.250 0.592 0.222
0.250 0.908 0.222
0.750 0.092 0.778
0.750 0.408 0.778
```

***

Run B
Entry from the Materials Project: a relaxed Ca2PbN2 crystal (PBE).

SG: No. 164
Crystal system: trigonal

Cell and atoms, written as POSCAR:
```
Ca2PbN2
1.0
4.044 0.000 0.000
-2.022 3.502 0.000
0.000 0.000 6.714
Ca Pb N
2 1 2
direct
0.333 0.667 0.341
0.667 0.333 0.659
0.000 0.000 0.000
0.333 0.667 0.728
0.667 0.333 0.272
```

***

run A (0.188 eV/atom below the next structure)